Run i
The following is a PBE-GGA calculation of a relaxed H crystal, from Materials Project.

Density   0.2 Mg/m³
Crystal system   orthorhombic

```
data_H
_chemical_formula_sum 'H16'
_space_group_name_H-M_alt 'P n m a'
_space_group_IT_number 62
_cell_length_a 4.9551
_cell_length_b 5.4774
_cell_length_c 4.6973
_cell_angle_alpha 90.00
_cell_angle_beta 90.00
_cell_angle_gamma 90.00
loop_
_space_group_symop_operation_xyz
'x,y,z'
'-x,-y,-z'
'-x+1/2,-y,z+1/2'
'x+1/2,y,-z+1/2'
'x+1/2,-y+1/2,-z+1/2'
'-x+1/2,y+1/2,z+1/2'
'-x,y+1/2,-z'
'x,-y+1/2,z'
loop_
_atom_site_label
_atom_site_fract_x
_atom_site_fract_y
_atom_site_fract_z
_atom_site_occupancy
H1 0.0162 0.2500 0.0428 1
H2 0.0288 0.5435 0.4468 1
H3 0.1234 0.7500 0.0156 1
```

=====

Run ii
The following is a PBE-GGA calculation of a relaxed H crystal, from Materials Project.

Density   0.2 Mg/m³
Crystal system   orthorhombic

```
data_H
_chemical_formula_sum 'H4'
_space_group_name_H-M_alt 'C m m m'
_space_group_IT_number 65
_space_group_name_Hall '-C 2 2'
_cell_length_a 2.6244
_cell_length_b 4.5059
_cell_length_c 2.6090
_cell_angle_alpha 90.00
_cell_angle_beta 90.00
_cell_angle_gamma 90.00
loop_
_atom_site_label
_atom_site_fract_x
_atom_site_fract_y
_atom_site_fract_z
_atom_site_occupancy
H1 0.0000 0.0827 0.0000 1
```

=====

Of them, the most stable is run i and the least stable is run ii.

=====

Run i
The following is a PBE-GGA calculation of a relaxed KMgNbO3 crystal, from Materials Project.

Density   4.1 Mg/m³
Crystal system   orthorhombic

```
data_KMgNbO3
_chemical_formula_sum 'K2 Mg2 Nb2 O6'
_space_group_name_H-M_alt 'A m m 2'
_space_group_IT_number 38
_cell_length_a 4.3195
_cell_length_b 5.5670
_cell_length_c 6.9070
_cell_angle_alpha 90.00
_cell_angle_beta 90.00
_cell_angle_gamma 90.00
loop_
_space_group_symop_operation_xyz
'x,y,z'
'-x,-y,z'
'-x,y,z'
'x,-y,z'
'x,y+1/2,z+1/2'
'-x,-y+1/2,z+1/2'
'-x,y+1/2,z+1/2'
'x,-y+1/2,z+1/2'
loop_
_atom_site_label
_atom_site_fract_x
_atom_site_fract_y
_atom_site_fract_z
_atom_site_occupancy
K1 0.0000 0.0000 0.0000 1
Mg1 0.5000 0.0000 0.2303 1
Nb1 0.5000 0.0000 0.6604 1
O1 0.0000 0.0000 0.6482 1
O2 0.5000 0.2426 0.9194 1
```

=====

Run ii
The following is a PBE-GGA calculation of a relaxed KMgNbO3 crystal, from Materials Project.

Density   4.0 Mg/m³
Crystal system   monoclinic

```
data_KMgNbO3
_chemical_formula_sum 'K2 Mg2 Nb2 O6'
_space_group_name_H-M_alt 'C 1 m 1'
_space_group_IT_number 8
_cell_length_a 5.5162
_cell_length_b 5.5089
_cell_length_c 6.2681
_cell_angle_alpha 90.00
_cell_angle_beta 115.82
_cell_angle_gamma 90.00
loop_
_space_group_symop_operation_xyz
'x,y,z'
'x,-y,z'
'x+1/2,y+1/2,z'
'x+1/2,-y+1/2,z'
loop_
_atom_site_label
_atom_site_fract_x
_atom_site_fract_y
_atom_site_fract_z
_atom_site_occupancy
K1 0.0000 0.0000 0.0000 1
Mg1 0.3433 0.0000 0.6911 1
Nb1 0.2004 0.5000 0.4043 1
O1 0.0252 0.5000 0.0566 1
O2 0.0404 0.2498 0.5852 1
```

=====

Of them, the most stable is run ii and the least stable is run i.

=====

Run i
The following is a PBE-GGA calculation of a relaxed Cs3Tl2Br9 crystal, from Materials Project.

Density   4.6 Mg/m³
Crystal system   trigonal

```
data_Cs3Tl2Br9
_chemical_formula_sum 'Cs3 Tl2 Br9'
_space_group_name_H-M_alt 'P -3 m 1'
_space_group_IT_number 164
_space_group_name_Hall '-P 3 2"'
_cell_length_a 8.0416
_cell_length_b 8.0416
_cell_length_c 9.8416
_cell_angle_alpha 90.00
_cell_angle_beta 90.00
_cell_angle_gamma 120.00
loop_
_atom_site_label
_atom_site_fract_x
_atom_site_fract_y
_atom_site_fract_z
_atom_site_occupancy
Cs1 0.0000 0.0000 0.0000 1
Cs2 0.3333 0.6667 0.6638 1
Tl1 0.3333 0.6667 0.1884 1
Br1 0.0000 0.5000 0.0000 1
Br2 0.1661 0.3322 0.3258 1
```

=====

Run ii
The following is a PBE-GGA calculation of a relaxed Cs3Tl2Br9 crystal, from Materials Project.

Density   4.3 Mg/m³
Crystal system   monoclinic

```
data_Cs3Tl2Br9
_chemical_formula_sum 'Cs6 Tl4 Br18'
_space_group_name_H-M_alt 'P 1 21 1'
_space_group_IT_number 4
_cell_length_a 9.9925
_cell_length_b 8.1217
_cell_length_c 14.4031
_cell_angle_alpha 90.00
_cell_angle_beta 93.65
_cell_angle_gamma 90.00
loop_
_space_group_symop_operation_xyz
'x,y,z'
'-x,y+1/2,-z'
loop_
_atom_site_label
_atom_site_fract_x
_atom_site_fract_y
_atom_site_fract_z
_atom_site_occupancy
Cs1 0.0273 0.9997 0.2250 1
Cs2 0.3249 0.0004 0.9243 1
Cs3 0.3618 0.5000 0.3863 1
Tl1 0.1929 0.5001 0.0851 1
Tl2 0.2026 0.0030 0.5702 1
Br1 0.0000 0.2500 0.0001 1
Br2 0.0305 0.4998 0.2326 1
Br3 0.0395 0.5341 0.5066 1
Br4 0.2951 0.7472 0.6655 1
Br5 0.2992 0.2548 0.6676 1
Br6 0.3105 0.5001 0.9208 1
Br7 0.3471 0.9985 0.4198 1
Br8 0.3491 0.2504 0.1608 1
Br9 0.3488 0.7499 0.1607 1
```

=====

Of them, the most stable is run ii and the least stable is run i.

=====

Run i
The following is a PBE-GGA calculation of a relaxed MgTe2MoW2Se2S2 crystal, from Materials Project.

Density   5.4 Mg/m³
Crystal system   triclinic

```
data_MgTe2MoW2Se2S2
_chemical_formula_sum 'Mg1 Te2 Mo1 W2 Se2 S2'
_space_group_name_H-M_alt 'P 1'
_space_group_IT_number 1
_cell_length_a 3.3354
_cell_length_b 3.3355
_cell_length_c 30.9711
_cell_angle_alpha 90.00
_cell_angle_beta 90.00
_cell_angle_gamma 60.00
loop_
_space_group_symop_operation_xyz
'x,y,z'
loop_
_atom_site_label
_atom_site_fract_x
_atom_site_fract_y
_atom_site_fract_z
_atom_site_occupancy
Mg1 0.0000 0.0000 0.0000 1
Te1 0.0520 0.9877 0.6596 1
Te2 0.0520 0.9877 0.7820 1
Mo1 0.3853 0.3211 0.7208 1
W1 0.0519 0.9878 0.4894 1
W2 0.3853 0.3211 0.2581 1
Se1 0.0520 0.9877 0.2040 1
Se2 0.0520 0.9877 0.3122 1
S1 0.3852 0.3212 0.4403 1
S2 0.3853 0.3212 0.5386 1
```

=====

Run ii
The following is a PBE-GGA calculation of a relaxed MgTe2MoW2Se2S2 crystal, from Materials Project.

Density   5.3 Mg/m³
Crystal system   triclinic

```
data_MgTe2MoW2Se2S2
_chemical_formula_sum 'Mg1 Te2 Mo1 W2 Se2 S2'
_space_group_name_H-M_alt 'P 1'
_space_group_IT_number 1
_cell_length_a 3.3438
_cell_length_b 3.3439
_cell_length_c 31.0668
_cell_angle_alpha 90.00
_cell_angle_beta 90.00
_cell_angle_gamma 120.00
loop_
_space_group_symop_operation_xyz
'x,y,z'
loop_
_atom_site_label
_atom_site_fract_x
_atom_site_fract_y
_atom_site_fract_z
_atom_site_occupancy
Mg1 0.0000 0.0000 0.0000 1
Te1 0.8862 0.9717 0.2227 1
Te2 0.8862 0.9718 0.3454 1
Mo1 0.5529 0.3051 0.7468 1
W1 0.5529 0.3051 0.2840 1
W2 0.8862 0.9718 0.5156 1
Se1 0.5529 0.3052 0.4616 1
Se2 0.5529 0.3052 0.5695 1
S1 0.8862 0.9717 0.6980 1
S2 0.8862 0.9717 0.7956 1
```

=====

Of them, the most stable is run i and the least stable is run ii.

=====

Run i
The following is a PBE-GGA calculation of a relaxed MgAl2O4 crystal, from Materials Project.

Density   3.5 Mg/m³
Crystal system   monoclinic

```
data_MgAl2O4
_chemical_formula_sum 'Mg16 Al32 O64'
_space_group_name_H-M_alt 'C 1 m 1'
_space_group_IT_number 8
_cell_length_a 9.9926
_cell_length_b 5.7577
_cell_length_c 19.2083
_cell_angle_alpha 90.00
_cell_angle_beta 100.08
_cell_angle_gamma 90.00
loop_
_space_group_symop_operation_xyz
'x,y,z'
'x,-y,z'
'x+1/2,y+1/2,z'
'x+1/2,-y+1/2,z'
loop_
_atom_site_label
_atom_site_fract_x
_atom_site_fract_y
_atom_site_fract_z
_atom_site_occupancy
Mg1 0.0000 0.0000 0.0000 1
Mg2 0.0006 0.5000 0.5081 1
Mg3 0.0598 0.5000 0.6892 1
Mg4 0.1566 0.0000 0.4750 1
Mg5 0.2500 0.5000 0.2561 1
Mg6 0.2787 0.5000 0.8465 1
Mg7 0.3093 0.0000 0.9439 1
Mg8 0.4059 0.0000 0.2237 1
Al1 0.0283 0.2569 0.3471 1
Al2 0.0317 0.0000 0.5973 1
Al3 0.0326 0.2553 0.8476 1
Al4 0.0330 0.5000 0.0971 1
Al5 0.0616 0.0000 0.1897 1
Al6 0.1543 0.5000 0.9714 1
Al7 0.2544 0.0000 0.7536 1
Al8 0.2791 0.2543 0.0967 1
Al9 0.2802 0.2490 0.5975 1
Al10 0.2853 0.0000 0.3471 1
Al11 0.3103 0.5000 0.4361 1
Al12 0.4055 0.5000 0.7195 1
O1 0.0822 0.5000 0.2932 1
O2 0.0863 0.5000 0.7930 1
O3 0.0881 0.0000 0.7838 1
O4 0.0945 0.0000 0.2890 1
O5 0.1025 0.2783 0.0384 1
O6 0.1040 0.2293 0.5463 1
O7 0.2015 0.2697 0.9102 1
O8 0.2129 0.2392 0.4044 1
O9 0.2157 0.5000 0.1505 1
O10 0.2178 0.0000 0.6585 1
O11 0.2196 0.0000 0.1549 1
O12 0.2370 0.5000 0.6554 1
O13 0.3262 0.5000 0.0374 1
O14 0.3330 0.0000 0.5464 1
O15 0.3427 0.5000 0.5344 1
O16 0.3478 0.0000 0.0498 1
O17 0.3527 0.2297 0.2932 1
O18 0.3538 0.2587 0.7814 1
O19 0.4564 0.2820 0.6545 1
O20 0.4650 0.2452 0.1550 1
O21 0.4662 0.0000 0.4034 1
O22 0.4734 0.5000 0.8955 1
O23 0.4736 0.5000 0.4045 1
O24 0.4800 0.0000 0.9067 1
```

=====

Run ii
The following is a PBE-GGA calculation of a relaxed MgAl2O4 crystal, from Materials Project.

Density   3.5 Mg/m³
Crystal system   triclinic

```
data_MgAl2O4
_chemical_formula_sum 'Mg14 Al28 O56'
_space_group_name_H-M_alt 'P 1'
_space_group_IT_number 1
_cell_length_a 5.7491
_cell_length_b 5.7725
_cell_length_c 33.0855
_cell_angle_alpha 85.24
_cell_angle_beta 85.04
_cell_angle_gamma 60.21
loop_
_space_group_symop_operation_xyz
'x,y,z'
loop_
_atom_site_label
_atom_site_fract_x
_atom_site_fract_y
_atom_site_fract_z
_atom_site_occupancy
Mg1 0.0000 0.0000 0.0000 1
Mg2 0.9996 0.5005 0.9999 1
Mg3 0.0848 0.0979 0.2316 1
Mg4 0.1410 0.6465 0.5710 1
Mg5 0.2279 0.2405 0.8034 1
Mg6 0.2835 0.7891 0.1428 1
Mg7 0.3705 0.3838 0.3743 1
Mg8 0.4270 0.9317 0.7140 1
Mg9 0.5700 0.0742 0.2855 1
Mg10 0.6559 0.6704 0.5170 1
Mg11 0.7148 0.2156 0.8569 1
Mg12 0.7965 0.8121 0.0872 1
Mg13 0.8556 0.3601 0.4283 1
Mg14 0.9418 0.9560 0.6597 1
Al1 0.0001 0.9982 0.5013 1
Al2 0.0608 0.0384 0.3400 1
Al3 0.0808 0.5669 0.2851 1
Al4 0.1384 0.1375 0.5706 1
Al5 0.1395 0.1444 0.0732 1
Al6 0.2073 0.1829 0.9113 1
Al7 0.2211 0.7110 0.8565 1
Al8 0.2803 0.2818 0.1426 1
Al9 0.2858 0.2841 0.6440 1
Al10 0.3466 0.3238 0.4828 1
Al11 0.3669 0.8524 0.4279 1
Al12 0.4239 0.4237 0.7135 1
Al13 0.4281 0.4279 0.2158 1
Al14 0.4910 0.4731 0.0554 1
Al15 0.5004 0.9986 0.0003 1
Al16 0.5096 0.5244 0.9452 1
Al17 0.5669 0.5669 0.2851 1
Al18 0.5713 0.5695 0.7871 1
Al19 0.6323 0.6099 0.6255 1
Al20 0.6533 0.1375 0.5705 1
Al21 0.7128 0.7102 0.8564 1
Al22 0.7139 0.7134 0.3585 1
Al23 0.7749 0.7529 0.1972 1
Al24 0.7946 0.2809 0.1425 1
Al25 0.8525 0.8524 0.4279 1
Al26 0.8573 0.8564 0.9288 1
Al27 0.9178 0.8964 0.7682 1
Al28 0.9386 0.4238 0.7135 1
O1 0.0299 0.5476 0.8909 1
O2 0.0409 0.0122 0.8923 1
O3 0.0431 0.0181 0.3957 1
O4 0.0984 0.1279 0.1732 1
O5 0.1105 0.1398 0.6792 1
O6 0.1196 0.5804 0.6803 1
O7 0.1281 0.5840 0.1791 1
O8 0.1609 0.6872 0.9603 1
O9 0.1737 0.6885 0.4637 1
O10 0.1801 0.1554 0.4644 1
O11 0.1995 0.1662 0.9655 1
O12 0.2416 0.2715 0.7449 1
O13 0.2535 0.2829 0.2504 1
O14 0.2630 0.7227 0.2514 1
O15 0.2719 0.7266 0.7506 1
O16 0.2846 0.8541 0.5360 1
O17 0.3254 0.3042 0.0356 1
O18 0.3267 0.8310 0.0366 1
O19 0.3288 0.3036 0.5387 1
O20 0.3847 0.4143 0.3159 1
O21 0.3974 0.4257 0.8227 1
O22 0.4070 0.8623 0.8240 1
O23 0.4139 0.8698 0.3216 1
O24 0.4259 0.9994 0.1077 1
O25 0.4592 0.9743 0.6069 1
O26 0.4653 0.4411 0.6076 1
O27 0.4705 0.4468 0.1109 1
O28 0.5292 0.5520 0.8905 1
O29 0.5393 0.5686 0.3931 1
O30 0.5486 0.0086 0.3942 1
O31 0.5600 0.0086 0.8918 1
O32 0.5700 0.1399 0.6792 1
O33 0.6019 0.1173 0.1783 1
O34 0.6085 0.5842 0.1789 1
O35 0.6146 0.5891 0.6817 1
O36 0.6704 0.7001 0.4586 1
O37 0.6744 0.1689 0.9609 1
O38 0.6750 0.6964 0.9619 1
O39 0.6997 0.1555 0.4644 1
O40 0.7127 0.2830 0.2504 1
O41 0.7445 0.2608 0.7499 1
O42 0.7507 0.7267 0.7506 1
O43 0.7573 0.7323 0.2529 1
O44 0.8009 0.8364 0.0283 1
O45 0.8249 0.8540 0.5360 1
O46 0.8341 0.2947 0.5371 1
O47 0.8388 0.3137 0.0380 1
O48 0.8541 0.4260 0.8225 1
O49 0.8879 0.4031 0.3208 1
O50 0.8945 0.8698 0.3215 1
O51 0.9009 0.8761 0.8239 1
O52 0.9560 0.9861 0.6016 1
O53 0.9659 0.9961 0.1075 1
O54 0.9770 0.4384 0.1091 1
O55 0.9857 0.4412 0.6076 1
O56 0.9985 0.5687 0.3931 1
```

=====

Of them, the most stable is run i and the least stable is run ii.

=====

Run i
The following is a PBE-GGA calculation of a relaxed Lu2MgSe4 crystal, from Materials Project.

Density   6.6 Mg/m³
Crystal system   orthorhombic

```
data_Lu2MgSe4
_chemical_formula_sum 'Lu8 Mg4 Se16'
_space_group_name_H-M_alt 'P n m a'
_space_group_IT_number 62
_cell_length_a 12.9987
_cell_length_b 3.9181
_cell_length_c 13.6072
_cell_angle_alpha 90.00
_cell_angle_beta 90.00
_cell_angle_gamma 90.00
loop_
_space_group_symop_operation_xyz
'x,y,z'
'-x,-y,-z'
'-x+1/2,-y,z+1/2'
'x+1/2,y,-z+1/2'
'x+1/2,-y+1/2,-z+1/2'
'-x+1/2,y+1/2,z+1/2'
'-x,y+1/2,-z'
'x,-y+1/2,z'
loop_
_atom_site_label
_atom_site_fract_x
_atom_site_fract_y
_atom_site_fract_z
_atom_site_occupancy
Lu1 0.1103 0.2500 0.0815 1
Lu2 0.1454 0.2500 0.7029 1
Mg1 0.1256 0.7500 0.4242 1
Se1 0.0231 0.7500 0.6105 1
Se2 0.0350 0.2500 0.8812 1
Se3 0.2152 0.2500 0.2626 1
Se4 0.2500 0.2500 0.5204 1
```

=====

Run ii
The following is a PBE-GGA calculation of a relaxed Lu2MgSe4 crystal, from Materials Project.

Density   6.8 Mg/m³
Crystal system   orthorhombic

```
data_Lu2MgSe4
_chemical_formula_sum 'Lu16 Mg8 Se32'
_space_group_name_H-M_alt 'P c a 21'
_space_group_IT_number 29
_cell_length_a 13.0531
_cell_length_b 7.7607
_cell_length_c 13.3315
_cell_angle_alpha 90.00
_cell_angle_beta 90.00
_cell_angle_gamma 90.00
loop_
_space_group_symop_operation_xyz
'x,y,z'
'-x,-y,z+1/2'
'-x+1/2,y,z+1/2'
'x+1/2,-y,z'
loop_
_atom_site_label
_atom_site_fract_x
_atom_site_fract_y
_atom_site_fract_z
_atom_site_occupancy
Lu1 0.1079 0.1178 0.0000 1
Lu2 0.1280 0.6196 0.6396 1
Lu3 0.1332 0.3714 0.3027 1
Lu4 0.1332 0.8709 0.3034 1
Mg1 0.1102 0.6193 0.0030 1
Mg2 0.1266 0.1218 0.6352 1
Se1 0.0142 0.1243 0.1901 1
Se2 0.0198 0.6256 0.1837 1
Se3 0.0370 0.6263 0.4447 1
Se4 0.0404 0.1269 0.4486 1
Se5 0.2136 0.1206 0.8198 1
Se6 0.2140 0.6207 0.8303 1
Se7 0.2303 0.3689 0.0928 1
Se8 0.2305 0.8724 0.0933 1
```

=====

Of them, the most stable is run ii and the least stable is run i.